# 1
Compound: Na2Mg4Ta4Si3S9O48
Source: the Materials Project database
Functional: PBE
Structure: optimized geometry

abc: 17.5455 8.7844 22.7836
angles: 89.97 90.02 120.10
Positions (direct):
Na 0.9988 0.9986 0.4999
Na 0.4996 0.0011 0.9971
Na 0.3348 0.3344 0.8363
Na 0.8309 0.3347 0.8341
Na 0.3360 0.3357 0.3374
Na 0.8333 0.3322 0.3384
Mg 0.9984 0.9982 0.3541
Mg 0.5017 0.0040 0.8500
Mg 0.0004 0.9969 0.6493
Mg 0.5011 0.0053 0.1495
Mg 0.3307 0.3333 0.9798
Mg 0.8366 0.3341 0.9818
Mg 0.3361 0.3407 0.4831
Mg 0.8319 0.3289 0.4816
Mg 0.1644 0.6636 0.3131
Mg 0.6667 0.6665 0.3115
Mg 0.1687 0.6699 0.8103
Mg 0.6631 0.6578 0.8087
Ta 0.4998 0.0103 0.3555
Ta 0.9993 0.9887 0.8529
Ta 0.5059 0.0137 0.6413
Ta 0.9994 0.9993 0.1400
Ta 0.3383 0.3424 0.6853
Ta 0.8277 0.3313 0.6918
Ta 0.3341 0.3333 0.1879
Ta 0.8354 0.3323 0.1841
Ta 0.1649 0.6586 0.0236
Ta 0.6676 0.6706 0.0211
Ta 0.1670 0.6636 0.5245
Ta 0.6659 0.6718 0.5261
Si 0.5059 0.2992 0.2466
Si 0.6386 0.2902 0.7551
Si 0.0067 0.7103 0.7451
Si 0.4739 0.3299 0.5784
Si 0.6940 0.0568 0.5811
Si 0.3358 0.6211 0.5815
Si 0.9751 0.6175 0.0790
Si 0.8314 0.0471 0.0803
Si 0.1937 0.3336 0.0810
S 0.1429 0.9968 0.2512
S 0.6438 0.9988 0.2499
S 0.3548 0.7130 0.2498
S 0.8558 0.7124 0.2513
S 0.0006 0.2893 0.2514
S 0.1443 0.2898 0.7496
S 0.5004 0.7143 0.7516
S 0.3547 0.9978 0.7509
S 0.8558 0.9985 0.7494
S 0.9762 0.3277 0.5823
S 0.1874 0.0474 0.5812
S 0.8368 0.6251 0.5812
S 0.4771 0.6241 0.0819
S 0.3362 0.0472 0.0808
S 0.6872 0.3283 0.0808
S 0.3123 0.6680 0.9152
S 0.8097 0.6636 0.9152
S 0.0217 0.3787 0.9145
S 0.5197 0.3752 0.9165
S 0.1693 0.9570 0.9151
S 0.6669 0.9582 0.9149
S 0.3085 0.9547 0.4152
S 0.8119 0.9566 0.4152
S 0.1671 0.3770 0.4155
S 0.6704 0.3833 0.4153
S 0.0209 0.6658 0.4159
S 0.5221 0.6645 0.4149
O 0.1076 0.0372 0.3031
O 0.6001 0.0287 0.3037
O 0.4126 0.7915 0.3037
O 0.9127 0.7854 0.3028
O 0.4835 0.1582 0.3073
O 0.9823 0.1785 0.3032
O 0.0996 0.1709 0.8038
O 0.6069 0.1629 0.8102
O 0.4780 0.7788 0.8039
O 0.9837 0.8075 0.8069
O 0.4098 0.0392 0.8034
O 0.9147 0.0328 0.8041
O 0.3965 0.9768 0.6976
O 0.8959 0.9776 0.6975
O 0.0921 0.2117 0.6974
O 0.5823 0.1862 0.6951
O 0.0131 0.8300 0.6924
O 0.5084 0.8125 0.6977
O 0.3950 0.8121 0.1972
O 0.9002 0.8200 0.1980
O 0.0106 0.2045 0.1980
O 0.5109 0.1957 0.1924
O 0.0897 0.9759 0.1981
O 0.5923 0.9733 0.1975
O 0.4307 0.3649 0.6396
O 0.9416 0.3671 0.6353
O 0.2427 0.1210 0.6354
O 0.7558 0.1393 0.6398
O 0.3133 0.4909 0.6410
O 0.8200 0.5144 0.6348
O 0.4378 0.5109 0.1364
O 0.9303 0.4962 0.1403
O 0.3206 0.1296 0.1353
O 0.8141 0.1342 0.1412
O 0.2532 0.3667 0.1414
O 0.7437 0.3628 0.1357
O 0.2322 0.2952 0.0254
O 0.7277 0.3049 0.0295
O 0.4243 0.5434 0.0304
O 0.9161 0.5438 0.0239
O 0.3507 0.1561 0.0298
O 0.8491 0.1601 0.0244
O 0.2272 0.1488 0.5288
O 0.7315 0.1666 0.5239
O 0.3468 0.5385 0.5241
O 0.8507 0.5469 0.5292
O 0.4168 0.2927 0.5225
O 0.9258 0.3052 0.5293
O 0.2666 0.6915 0.9696
O 0.7685 0.6918 0.9705
O 0.0778 0.4635 0.9701
O 0.5781 0.4680 0.9712
O 0.1522 0.8476 0.9694
O 0.6572 0.8389 0.9706
O 0.2685 0.8447 0.4692
O 0.7676 0.8427 0.4690
O 0.1552 0.4696 0.4696
O 0.6520 0.4553 0.4687
O 0.0780 0.6906 0.4696
O 0.5774 0.6942 0.4694
O 0.0623 0.6405 0.3638
O 0.5655 0.6444 0.3640
O 0.2569 0.8703 0.3630
O 0.7579 0.8732 0.3634
O 0.1795 0.4861 0.3639
O 0.6802 0.4856 0.3633
O 0.0661 0.4880 0.8644
O 0.5615 0.4860 0.8658
O 0.1801 0.8739 0.8640
O 0.6792 0.8715 0.8646
O 0.2574 0.6417 0.8642
O 0.7570 0.6456 0.8642
O 0.0146 0.8273 0.4119
O 0.5143 0.8282 0.4074
O 0.3983 0.9655 0.4089
O 0.8998 0.9705 0.4118
O 0.0854 0.2035 0.4126
O 0.5874 0.1971 0.4073
O 0.0148 0.2016 0.9091
O 0.5130 0.2016 0.9148
O 0.0872 0.9767 0.9079
O 0.5843 0.9619 0.9160
O 0.3997 0.8298 0.9126
O 0.8991 0.8318 0.9101
O 0.4886 0.1677 0.5944
O 0.9918 0.1796 0.5902
O 0.0990 0.0219 0.5894
O 0.5939 0.0109 0.5954
O 0.4131 0.8109 0.6007
O 0.9103 0.8050 0.5891
O 0.4900 0.8001 0.0920
O 0.9916 0.8109 0.0988
O 0.4101 0.0168 0.0900
O 0.9124 0.0156 0.0989
O 0.0949 0.1736 0.0989
O 0.5994 0.1752 0.0901
O 0.3433 0.1603 0.7411
O 0.8517 0.1669 0.7457
O 0.2320 0.2955 0.7458
O 0.7393 0.3080 0.7394
O 0.4166 0.5247 0.7431
O 0.9132 0.5159 0.7405
O 0.3481 0.5316 0.2443
O 0.8448 0.5290 0.2414
O 0.4101 0.3055 0.2411
O 0.9173 0.3066 0.2429
O 0.2347 0.1605 0.2409
O 0.7326 0.1692 0.2453
O 0.3219 0.5118 0.9234
O 0.8215 0.5126 0.9232
O 0.4327 0.3590 0.9260
O 0.9341 0.3568 0.9218
O 0.2454 0.1342 0.9225
O 0.7444 0.1317 0.9241
O 0.3215 0.1311 0.4219
O 0.8225 0.1332 0.4224
O 0.2444 0.3561 0.4230
O 0.7457 0.3562 0.4217
O 0.4335 0.5122 0.4211
O 0.9333 0.5086 0.4242
O 0.1807 0.5072 0.0724
O 0.6792 0.4915 0.0738
O 0.0750 0.6470 0.0713
O 0.5663 0.6380 0.0747
O 0.2532 0.8714 0.0740
O 0.7453 0.8458 0.0723
O 0.1786 0.8654 0.5726
O 0.6818 0.8556 0.5722
O 0.2459 0.6431 0.5715
O 0.7537 0.6366 0.5726
O 0.0677 0.4940 0.5725
O 0.5743 0.5033 0.5709
O 0.1557 0.8468 0.2576
O 0.6583 0.8536 0.2610
O 0.2676 0.6876 0.2606
O 0.7697 0.6936 0.2572
O 0.0761 0.4653 0.2572
O 0.5827 0.4852 0.2628
O 0.1577 0.4621 0.7614
O 0.6578 0.4853 0.7565
O 0.0846 0.6841 0.7633
O 0.5757 0.6899 0.7579
O 0.2680 0.8455 0.7577
O 0.7689 0.8508 0.7614


# 2
Compound: Na18Mg20Ta4Si3S33O144
Source: the Materials Project database
Functional: PBE
Structure: optimized geometry

abc: 17.5107 8.7461 22.5904
angles: 89.91 89.99 119.86
Positions (direct):
Na 0.3186 0.9991 0.2547
Na 0.8187 0.9997 0.2494
Na 0.1804 0.3640 0.2616
Na 0.6825 0.3669 0.2582
Na 0.6807 0.9984 0.7510
Na 0.9843 0.6774 0.9255
Na 0.0094 0.0239 0.4945
Na 0.5091 0.0238 0.4948
Na 0.9963 0.9976 0.0008
Na 0.5127 0.0122 0.0006
Na 0.3359 0.3373 0.8251
Na 0.8263 0.3260 0.8351
Na 0.3365 0.3527 0.3347
Na 0.8366 0.3525 0.3326
Na 0.1529 0.6617 0.1654
Na 0.6649 0.6669 0.1616
Na 0.1661 0.6613 0.6560
Na 0.6648 0.6490 0.6643
Mg 0.0026 0.0033 0.3541
Mg 0.5035 0.0037 0.3544
Mg 0.9988 0.0032 0.8512
Mg 0.5043 0.0009 0.8507
Mg 0.9995 0.0051 0.6463
Mg 0.5005 0.0016 0.6463
Mg 0.9984 0.9929 0.1468
Mg 0.5042 0.0022 0.1479
Mg 0.3341 0.3357 0.6840
Mg 0.8352 0.3356 0.6840
Mg 0.3368 0.3421 0.1838
Mg 0.8345 0.3381 0.1792
Mg 0.8261 0.3240 0.9854
Mg 0.1620 0.6674 0.0201
Mg 0.6721 0.6738 0.0180
Mg 0.1644 0.6563 0.5158
Mg 0.6642 0.6556 0.5167
Mg 0.1641 0.6562 0.3225
Mg 0.6653 0.6576 0.3222
Mg 0.6674 0.6629 0.8166
Ta 0.3324 0.3282 0.9795
Ta 0.3309 0.3341 0.4799
Ta 0.8308 0.3347 0.4796
Ta 0.1681 0.6756 0.8134
Si 0.1624 0.9581 0.9195
Si 0.1593 0.3676 0.4152
Si 0.6590 0.3682 0.4151
S 0.1463 0.9968 0.2484
S 0.6463 0.9947 0.2491
S 0.3553 0.7108 0.2484
S 0.8546 0.7079 0.2498
S 0.9991 0.2937 0.2480
S 0.4987 0.2935 0.2487
S 0.1471 0.2906 0.7504
S 0.6466 0.2954 0.7491
S 0.9978 0.7058 0.7507
S 0.4986 0.7047 0.7501
S 0.3565 0.0033 0.7508
S 0.8534 0.9997 0.7495
S 0.4800 0.3342 0.5857
S 0.9805 0.3357 0.5851
S 0.1874 0.0387 0.5852
S 0.6867 0.0363 0.5851
S 0.3339 0.6282 0.5851
S 0.8342 0.6282 0.5854
S 0.4806 0.6277 0.0832
S 0.9814 0.6286 0.0822
S 0.3335 0.0387 0.0855
S 0.8341 0.0381 0.0844
S 0.1877 0.3362 0.0844
S 0.6834 0.3338 0.0849
S 0.3130 0.6710 0.9185
S 0.8119 0.6631 0.9165
S 0.0214 0.3738 0.9175
S 0.5234 0.3745 0.9183
S 0.6664 0.9609 0.9158
S 0.3128 0.9574 0.4170
S 0.8126 0.9571 0.4174
S 0.0211 0.6693 0.4186
S 0.5212 0.6688 0.4185
O 0.1054 0.0246 0.3009
O 0.6043 0.0227 0.3010
O 0.4059 0.7917 0.3022
O 0.9055 0.7898 0.3037
O 0.4831 0.1814 0.3014
O 0.9845 0.1832 0.3010
O 0.1052 0.1876 0.8035
O 0.6064 0.1844 0.8026
O 0.4860 0.7862 0.8038
O 0.9896 0.7842 0.8058
O 0.4062 0.0205 0.8047
O 0.9056 0.0222 0.8031
O 0.3929 0.9724 0.6972
O 0.8955 0.9775 0.6963
O 0.0946 0.2205 0.6966
O 0.5932 0.2104 0.6961
O 0.0165 0.8168 0.6986
O 0.5128 0.8170 0.6974
O 0.3985 0.8179 0.1952
O 0.8972 0.8159 0.1968
O 0.0149 0.2118 0.1953
O 0.5121 0.2105 0.1956
O 0.0959 0.9767 0.1941
O 0.5954 0.9715 0.1946
O 0.4352 0.3498 0.6383
O 0.9361 0.3522 0.6379
O 0.2407 0.1238 0.6377
O 0.7374 0.1177 0.6395
O 0.3218 0.5193 0.6375
O 0.8228 0.5190 0.6376
O 0.4382 0.5199 0.1355
O 0.9353 0.5216 0.1343
O 0.3228 0.1236 0.1383
O 0.8231 0.1169 0.1399
O 0.2395 0.3564 0.1376
O 0.7334 0.3537 0.1403
O 0.2381 0.3186 0.0307
O 0.7277 0.3126 0.0328
O 0.4228 0.5308 0.0291
O 0.9326 0.5476 0.0264
O 0.3417 0.1570 0.0313
O 0.8448 0.1491 0.0323
O 0.2353 0.1538 0.5310
O 0.7372 0.1560 0.5326
O 0.3424 0.5310 0.5311
O 0.8428 0.5310 0.5311
O 0.4247 0.3165 0.5315
O 0.9256 0.3180 0.5312
O 0.2699 0.6872 0.9706
O 0.7711 0.6834 0.9703
O 0.0750 0.4519 0.9699
O 0.5751 0.4565 0.9711
O 0.1484 0.8330 0.9732
O 0.6553 0.8490 0.9674
O 0.2678 0.8549 0.4689
O 0.7678 0.8547 0.4693
O 0.1532 0.4664 0.4721
O 0.6534 0.4670 0.4721
O 0.0738 0.6977 0.4713
O 0.5737 0.6974 0.4713
O 0.0568 0.6343 0.3646
O 0.5567 0.6338 0.3646
O 0.2607 0.8950 0.3615
O 0.7608 0.8957 0.3619
O 0.1860 0.4743 0.3526
O 0.6852 0.4733 0.3524
O 0.0714 0.4953 0.8636
O 0.5567 0.4782 0.8642
O 0.1824 0.8639 0.8593
O 0.6763 0.8824 0.8598
O 0.2567 0.6360 0.8636
O 0.7584 0.6369 0.8632
O 0.0000 0.8099 0.4109
O 0.4996 0.8088 0.4108
O 0.4001 0.9772 0.4104
O 0.9004 0.9780 0.4108
O 0.0813 0.1675 0.4114
O 0.5810 0.1676 0.4119
O 0.0093 0.1997 0.9069
O 0.5049 0.1918 0.9123
O 0.0789 0.9793 0.9079
O 0.5866 0.9814 0.9122
O 0.4002 0.8232 0.9094
O 0.9012 0.8231 0.9106
O 0.4868 0.1723 0.5874
O 0.9879 0.1746 0.5870
O 0.1011 0.0292 0.5871
O 0.6006 0.0279 0.5858
O 0.4160 0.7990 0.5865
O 0.9169 0.7987 0.5867
O 0.4842 0.7994 0.0847
O 0.9922 0.8079 0.0865
O 0.4154 0.0326 0.0852
O 0.9140 0.0195 0.0882
O 0.1022 0.1746 0.0846
O 0.5946 0.1727 0.0886
O 0.3379 0.1490 0.7459
O 0.8411 0.1577 0.7445
O 0.2371 0.3185 0.7449
O 0.7355 0.3091 0.7436
O 0.4206 0.5261 0.7440
O 0.9231 0.5270 0.7446
O 0.3403 0.5269 0.2431
O 0.8403 0.5251 0.2442
O 0.4171 0.3081 0.2424
O 0.9182 0.3085 0.2411
O 0.2372 0.1603 0.2435
O 0.7366 0.1584 0.2440
O 0.3222 0.5066 0.9235
O 0.8265 0.5079 0.9217
O 0.4308 0.3590 0.9275
O 0.9373 0.3742 0.9186
O 0.2551 0.1543 0.9258
O 0.7465 0.1384 0.9218
O 0.3265 0.1450 0.4257
O 0.8264 0.1452 0.4264
O 0.2543 0.3509 0.4289
O 0.7541 0.3509 0.4290
O 0.4306 0.4978 0.4272
O 0.9308 0.4985 0.4271
O 0.1814 0.4950 0.0753
O 0.6735 0.4922 0.0791
O 0.0698 0.6418 0.0811
O 0.5674 0.6447 0.0748
O 0.2555 0.8661 0.0773
O 0.7541 0.8609 0.0788
O 0.1796 0.8655 0.5766
O 0.6795 0.8643 0.5762
O 0.2565 0.6493 0.5779
O 0.7568 0.6488 0.5783
O 0.0672 0.4962 0.5799
O 0.5665 0.4944 0.5803
O 0.1606 0.8430 0.2547
O 0.6605 0.8413 0.2560
O 0.2657 0.6958 0.2513
O 0.7651 0.6938 0.2529
O 0.0780 0.4727 0.2541
O 0.5773 0.4715 0.2543
O 0.1579 0.4761 0.7593
O 0.6569 0.4727 0.7556
O 0.0813 0.6826 0.7578
O 0.5803 0.6909 0.7560
O 0.2645 0.8313 0.7579
O 0.7625 0.8429 0.7546


| no. | E (MP2020) (eV per atom) | uncorrected energy (eV per atom) |
| --- | --- | --- |
| 1 | -7.461 | -6.990 |
| 2 | -6.741 | -6.296 |